A plane-wave DFT calculation with PBE was carried out for a relaxed CdCN2 crystal.

The MP2020-corrected energy comes out at -6.787 eV/atom. For the total energy, the calculation gives -79.28 eV per cell. As for the calculated formation energy: -0.081 eV per atom.

Lattice parameters (Å, degrees): 3.6105 3.6105 14.6345 90.00 90.00 120.00
Space group R-3m (No. 166, hexagonal axes)
Inequivalent atoms, fractional coordinates:
Cd 0.0000 0.0000 0.0000 (multiplicity 3)
C 0.0000 0.0000 0.5000 (multiplicity 3)
N 0.0000 0.0000 0.4155 (multiplicity 6)